## Gd2MgRu (PBE-GGA)

Data for a geometry-optimized Gd2MgRu structure.

Cell: 5.0850 5.0850 5.0850 Å, 60.00 60.00 60.00°
Closest atoms and distances in Å follow each position.
Positions (direct):
Ru1 0.7500 0.7500 0.7500  8 Gd 3.11
Gd1 0.0000 0.0000 0.0000  4 Mg 3.11, 4 Ru 3.11
Gd2 0.5000 0.5000 0.5000  4 Ru 3.11, 4 Mg 3.11
Mg1 0.2500 0.2500 0.2500  8 Gd 3.11

Output
ΔE_f = -164 meV per atom
symmetry = Fm-3m